Record 1
## Ba2UP2O10 (GGA-PBE)

Data for a relaxed Ba2UP2O10 crystal.

Output
For the volume, the calculation gives 487.3 Å³ per cell. For the energy above the most stable polymorph in this dataset, the calculation gives 0 meV/atom. The density comes out at 5.0 Mg/m³.

Cell lengths 6.8407, 8.8001, 9.1765 Å; angles 105.21, 93.55, 111.73 degrees
Space group P-1 (No. 2)
Unique sites:
1 Ba 0.1606 0.0494 0.2617 [2 per cell]
2 Ba 0.1878 0.5820 0.7948 [2 per cell]
3 U 0.4944 0.7472 0.2821 [2 per cell]
4 P 0.2042 0.8179 0.5319 [2 per cell]
5 P 0.2216 0.3118 0.0343 [2 per cell]
6 O 0.0069 0.8072 0.9605 [2 per cell]
7 O 0.0292 0.7140 0.6051 [2 per cell]
8 O 0.1550 0.7432 0.3516 [2 per cell]
9 O 0.2131 0.0070 0.5738 [2 per cell]
10 O 0.2454 0.5049 0.0968 [2 per cell]
11 O 0.2501 0.2861 0.8616 [2 per cell]
12 O 0.3913 0.2817 0.1250 [2 per cell]
13 O 0.4283 0.3867 0.6244 [2 per cell]
14 O 0.4287 0.8242 0.5776 [2 per cell]
15 O 0.4381 0.8702 0.1643 [2 per cell]

***

Record 2
## Pr5C2Cl9 (GGA-PBE)

Data for a relaxed Pr5C2Cl9 crystal.

Output
For the volume, the calculation gives 793.5 Å³ per cell. The density comes out at 4.4 Mg/m³.

Cell lengths 8.6108, 8.6853, 12.1667 Å; angles 84.20, 85.01, 61.33 degrees
Space group P-1 (No. 2)
Unique sites:
1 Pr 0.1029 0.2024 0.0010 [2 per cell]
2 Pr 0.1314 0.7708 0.2678 [2 per cell]
3 Pr 0.2031 0.1859 0.4978 [2 per cell]
4 Pr 0.2270 0.4274 0.7425 [2 per cell]
5 Pr 0.3929 0.9033 0.7790 [2 per cell]
6 C 0.1421 0.1976 0.8094 [2 per cell]
7 C 0.1701 0.1892 0.6906 [2 per cell]
8 Cl 0.0000 0.0000 0.5000 [1 per cell]
9 Cl 0.0805 0.8422 0.7719 [2 per cell]
10 Cl 0.1583 0.3709 0.2608 [2 per cell]
11 Cl 0.1758 0.5509 0.5068 [2 per cell]
12 Cl 0.2143 0.8307 0.0332 [2 per cell]
13 Cl 0.2166 0.4609 0.9754 [2 per cell]
14 Cl 0.4000 0.9083 0.2767 [2 per cell]
15 Cl 0.4580 0.8284 0.5526 [2 per cell]
16 Cl 0.4885 0.4851 0.2316 [2 per cell]
17 Cl 0.5000 0.0000 0.0000 [1 per cell]

***

Record 3
## ZrInN2 (GGA-PBE)

Data for a relaxed ZrInN2 crystal.

Output
For the volume, the calculation gives 127.6 Å³ per cell. The density comes out at 6.1 Mg/m³.

Cell lengths 3.9137, 3.9137, 8.3308 Å; angles 90.00, 90.00, 90.00 degrees
Space group P4/nmm (No. 129, origin choice 2)
Unique sites:
1 Zr 0.2500 0.2500 0.1076 [2 per cell]
2 In 0.2500 0.2500 0.6263 [2 per cell]
3 N 0.2500 0.2500 0.3613 [2 per cell]
4 N 0.2500 0.7500 0.0000 [2 per cell]

***

Formation energy (computed, meV/atom): -3336.5; -2176.3; -737.8